Run P
Density functional theory data (GGA-PBE) for a relaxed KCeMg6O8 crystal.

Lattice parameters (Å, degrees): 4.6290 4.6290 9.1756 90.00 90.00 90.00
Space group P4/mmm (No. 123)
Symmetry-distinct sites (fractional):
K  0.0000  0.0000  0.0000 x1
Ce  0.0000  0.0000  0.5000 x1
Mg  0.0000  0.5000  0.2255 x4
Mg  0.5000  0.5000  0.0000 x1
Mg  0.5000  0.5000  0.5000 x1
O  0.0000  0.0000  0.2598 x2
O  0.0000  0.5000  0.0000 x2
O  0.0000  0.5000  0.5000 x2
O  0.5000  0.5000  0.2472 x2

***

Run Q
Density functional theory data (GGA-PBE) for a relaxed KCeMg6O8 crystal.

Lattice parameters (Å, degrees): 4.6065 4.6065 9.1052 90.00 90.00 90.00
Space group P4/mmm (No. 123)
Symmetry-distinct sites (fractional):
K  0.0000  0.0000  0.0000 x1
Ce  0.5000  0.5000  0.0000 x1
Mg  0.0000  0.0000  0.5000 x1
Mg  0.0000  0.5000  0.2749 x4
Mg  0.5000  0.5000  0.5000 x1
O  0.0000  0.0000  0.2805 x2
O  0.0000  0.5000  0.0000 x2
O  0.0000  0.5000  0.5000 x2
O  0.5000  0.5000  0.2688 x2

***

What is the stability order? It is run Q, run P, from most stable to least stable.

***

Run P
Density functional theory data (GGA-PBE) for a relaxed KCeP4O12 crystal.

Lattice parameters (Å, degrees): 7.5233 13.5080 12.7232 90.00 126.21 90.00
Space group P2_1/c (No. 14)
Symmetry-distinct sites (fractional):
K  0.0651  0.2252  0.0674 x4
Ce  0.4692  0.2204  0.9777 x4
P  0.0121  0.5987  0.2471 x4
P  0.1040  0.6127  0.7412 x4
P  0.3544  0.6236  0.2014 x4
P  0.4577  0.0911  0.7048 x4
O  0.0711  0.5137  0.7973 x4
O  0.1052  0.1413  0.8870 x4
O  0.1070  0.6185  0.1633 x4
O  0.1894  0.1623  0.3085 x4
O  0.1905  0.6062  0.3912 x4
O  0.2075  0.6863  0.8504 x4
O  0.2758  0.5806  0.7095 x4
O  0.3446  0.7019  0.1144 x4
O  0.3726  0.1561  0.5886 x4
O  0.3769  0.5197  0.1484 x4
O  0.3977  0.1158  0.7954 x4
O  0.4788  0.1328  0.1538 x4

***

Run Q
Density functional theory data (GGA-PBE) for a relaxed KCeP4O12 crystal.

Lattice parameters (Å, degrees): 7.2602 8.4754 8.1976 90.00 92.27 90.00
Space group P2_1 (No. 4)
Symmetry-distinct sites (fractional):
K  0.2049  0.0000  0.2754 x2
Ce  0.2696  0.2478  0.7525 x2
P  0.0514  0.8741  0.8974 x2
P  0.1345  0.5127  0.3953 x2
P  0.3890  0.6718  0.9017 x2
P  0.4951  0.8855  0.6250 x2
O  0.0472  0.6665  0.3439 x2
O  0.0562  0.3694  0.2788 x2
O  0.0854  0.3456  0.9725 x2
O  0.1220  0.4598  0.5695 x2
O  0.1725  0.7153  0.8747 x2
O  0.1746  0.0156  0.9202 x2
O  0.3155  0.9717  0.5985 x2
O  0.3467  0.5178  0.3455 x2
O  0.4166  0.5137  0.8230 x2
O  0.4419  0.2690  0.4995 x2
O  0.4501  0.6969  0.0769 x2
O  0.4986  0.3040  0.1970 x2

***

What is the stability order? It is run P, run Q, from most stable to least stable.

***

Run P
Density functional theory data (GGA-PBE) for a relaxed KSrCeSbO6 crystal.

Lattice parameters (Å, degrees): 8.4382 8.4465 8.4763 90.00 90.00 90.00
Space group Pnnn (No. 48, origin choice 2)
Symmetry-distinct sites (fractional):
K  0.2500  0.2500  0.2500 x2
K  0.2500  0.7500  0.7500 x2
Sr  0.2500  0.2500  0.7500 x2
Sr  0.2500  0.7500  0.2500 x2
Ce  0.0000  0.0000  0.0000 x4
Sb  0.0000  0.0000  0.5000 x4
O  0.0133  0.0252  0.7370 x8
O  0.0142  0.7378  0.9970 x8
O  0.2373  0.0121  0.4869 x8

***

Run Q
Density functional theory data (GGA-PBE) for a relaxed KSrCeSbO6 crystal.

Lattice parameters (Å, degrees): 8.4643 8.4643 8.4643 90.00 90.00 90.00
Space group F-43m (No. 216)
Symmetry-distinct sites (fractional):
K  0.0000  0.0000  0.0000 x4
Sr  0.0000  0.0000  0.5000 x4
Ce  0.2500  0.2500  0.2500 x4
Sb  0.2500  0.2500  0.7500 x4
O  0.0126  0.2500  0.7500 x24

***

What is the stability order? It is run P, run Q, from most stable to least stable.

***

Run P
Density functional theory data (GGA-PBE) for a relaxed LiCeMg14 crystal.

Lattice parameters (Å, degrees): 6.5429 6.5429 10.2918 90.00 90.00 120.00
Space group P-6m2 (No. 187)
Symmetry-distinct sites (fractional):
Li  0.0000  0.0000  0.0000 x1
Ce  0.0000  0.0000  0.5000 x1
Mg  0.0003  0.5001  0.0000 x3
Mg  0.0157  0.5078  0.5000 x3
Mg  0.1665  0.3330  0.2416 x6
Mg  0.6667  0.3333  0.2599 x2

***

Run Q
Density functional theory data (GGA-PBE) for a relaxed LiCeMg14 crystal.

Lattice parameters (Å, degrees): 10.3895 6.4287 11.3098 90.00 90.00 90.00
Space group Amm2 (No. 38)
Symmetry-distinct sites (fractional):
Li  0.0000  0.0000  0.0000 x2
Ce  0.0000  0.0000  0.5019 x2
Mg  0.0000  0.2455  0.7533 x4
Mg  0.2469  0.0000  0.1678 x4
Mg  0.2533  0.0000  0.6692 x4
Mg  0.2529  0.2477  0.9177 x8
Mg  0.5000  0.0000  0.0014 x2
Mg  0.5000  0.0000  0.5019 x2
Mg  0.5000  0.2494  0.7518 x4

***

What is the stability order? It is run P, run Q, from most stable to least stable.

***

Run P
Density functional theory data (GGA-PBE) for a relaxed LiCeMg6O8 crystal.

Lattice parameters (Å, degrees): 4.4089 4.4089 8.9657 90.00 90.00 90.00
Space group P4/mmm (No. 123)
Symmetry-distinct sites (fractional):
Li  0.0000  0.0000  0.0000 x1
Ce  0.5000  0.5000  0.0000 x1
Mg  0.0000  0.0000  0.5000 x1
Mg  0.0000  0.5000  0.2675 x4
Mg  0.5000  0.5000  0.5000 x1
O  0.0000  0.0000  0.2654 x2
O  0.0000  0.5000  0.0000 x2
O  0.0000  0.5000  0.5000 x2
O  0.5000  0.5000  0.2685 x2

***

Run Q
Density functional theory data (GGA-PBE) for a relaxed LiCeMg6O8 crystal.

Lattice parameters (Å, degrees): 4.4510 4.4510 8.9013 90.00 90.00 90.00
Space group P4/mmm (No. 123)
Symmetry-distinct sites (fractional):
Li  0.0000  0.0000  0.0000 x1
Ce  0.0000  0.0000  0.5000 x1
Mg  0.0000  0.5000  0.2217 x4
Mg  0.5000  0.5000  0.0000 x1
Mg  0.5000  0.5000  0.5000 x1
O  0.0000  0.0000  0.2396 x2
O  0.0000  0.5000  0.0000 x2
O  0.0000  0.5000  0.5000 x2
O  0.5000  0.5000  0.2523 x2

***

What is the stability order? It is run P, run Q, from most stable to least stable.

***

Run P
Density functional theory data (GGA-PBE) for a relaxed LiCe2O3 crystal.

Lattice parameters (Å, degrees): 7.1484 3.9415 6.9665 90.00 109.25 90.00
Space group Cm (No. 8)
Symmetry-distinct sites (fractional):
Li  0.0000  0.0000  0.0000 x2
Ce  0.2318  0.0000  0.7181 x2
Ce  0.2769  0.5000  0.2948 x2
O  0.1138  0.0000  0.3214 x2
O  0.1772  0.5000  0.9490 x2
O  0.3954  0.5000  0.6712 x2

***

Run Q
Density functional theory data (GGA-PBE) for a relaxed LiCe2O3 crystal.

Lattice parameters (Å, degrees): 3.4748 3.4748 8.0805 90.00 90.00 120.00
Space group P-3m1 (No. 164)
Symmetry-distinct sites (fractional):
Li  0.0000  0.0000  0.0000 x1
Ce  0.3333  0.6667  0.6804 x2
O  0.0000  0.0000  0.5000 x1
O  0.3333  0.6667  0.1602 x2

***

What is the stability order? It is run Q, run P, from most stable to least stable.

***

Run P
Density functional theory data (GGA-PBE) for a relaxed CeLuS3 crystal.

Lattice parameters (Å, degrees): 3.7676 12.8280 9.9186 90.00 90.00 90.00
Space group Cmcm (No. 63)
Symmetry-distinct sites (fractional):
Ce  0.0000  0.0000  0.0000 x4
Lu  0.0000  0.2438  0.2500 x4
S  0.0000  0.1057  0.7500 x4
S  0.0000  0.3522  0.5841 x8

***

Run Q
Density functional theory data (GGA-PBE) for a relaxed CeLuS3 crystal.

Lattice parameters (Å, degrees): 3.8627 12.5852 9.4859 90.00 90.00 90.00
Space group Cmcm (No. 63)
Symmetry-distinct sites (fractional):
Ce  0.0000  0.2480  0.2500 x4
Lu  0.0000  0.5000  0.0000 x4
S  0.0000  0.1417  0.5642 x8
S  0.0000  0.4125  0.7500 x4

***

What is the stability order? It is run Q, run P, from most stable to least stable.

***

Run P
Density functional theory data (GGA-PBE) for a relaxed Ce2Mg crystal.

Lattice parameters (Å, degrees): 3.2535 3.2535 17.0338 90.00 90.00 120.00
Space group P-3m1 (No. 164)
Symmetry-distinct sites (fractional):
Ce  0.3333  0.6667  0.2507 x2
Ce  0.3333  0.6667  0.9184 x2
Mg  0.3333  0.6667  0.5783 x2

***

Run Q
Density functional theory data (GGA-PBE) for a relaxed Ce2Mg crystal.

Lattice parameters (Å, degrees): 12.9926 3.2300 7.7337 90.00 103.21 90.00
Space group C2/m (No. 12)
Symmetry-distinct sites (fractional):
Ce  0.1382  0.0000  0.0335 x4
Ce  0.2016  0.0000  0.6427 x4
Mg  0.0278  0.5000  0.3143 x4

***

What is the stability order? It is run P, run Q, from most stable to least stable.